# 1
The following is a DFT calculation (PBE) of a geometry-optimized Na5ZrGa3Si3S3O24 structure.

calculated density = 3.2 g/cm³
spin magnetization = 0.00 Bohr magnetons per cell
crystal system = triclinic
DFT total energy = -6.4259 eV/atom

a = 8.895 Å, b = 8.902 Å, c = 22.309 Å
α = 89.09°, β = 89.16°, γ = 60.30°
Space group P1 (No. 1)
Asymmetric unit:
Na1 0.000 0.000 0.000 [1 per cell]
Na2 0.001 0.263 0.500 [1 per cell]
Na3 0.275 0.682 0.835 [1 per cell]
Na4 0.294 0.002 0.919 [1 per cell]
Na5 0.305 0.997 0.421 [1 per cell]
Na6 0.316 0.612 0.166 [1 per cell]
Na7 0.327 0.333 0.666 [1 per cell]
Na8 0.336 0.645 0.513 [1 per cell]
Na9 0.615 0.636 0.015 [1 per cell]
Na10 0.635 0.312 0.093 [1 per cell]
Na11 0.637 0.297 0.592 [1 per cell]
Na12 0.940 0.353 0.174 [1 per cell]
Na13 0.948 0.969 0.679 [1 per cell]
Na14 0.950 0.662 0.760 [1 per cell]
Na15 0.952 0.651 0.261 [1 per cell]
Zr1 0.656 0.306 0.942 [1 per cell]
Zr2 0.662 0.289 0.438 [1 per cell]
Zr3 0.980 0.653 0.611 [1 per cell]
Ga1 0.009 0.611 0.406 [1 per cell]
Ga2 0.308 0.963 0.770 [1 per cell]
Ga3 0.309 0.967 0.069 [1 per cell]
Ga4 0.322 0.979 0.274 [1 per cell]
Ga5 0.330 0.967 0.571 [1 per cell]
Ga6 0.648 0.288 0.734 [1 per cell]
Ga7 0.659 0.335 0.244 [1 per cell]
Ga8 0.970 0.632 0.105 [1 per cell]
Ga9 0.999 0.642 0.907 [1 per cell]
Si1 0.267 0.641 0.010 [1 per cell]
Si2 0.279 0.336 0.508 [1 per cell]
Si3 0.332 0.674 0.673 [1 per cell]
Si4 0.593 0.973 0.676 [1 per cell]
Si5 0.603 0.695 0.173 [1 per cell]
Si6 0.948 0.007 0.836 [1 per cell]
Si7 0.964 0.309 0.335 [1 per cell]
Si8 0.991 0.924 0.501 [1 per cell]
Si9 0.997 0.349 0.006 [1 per cell]
S1 0.016 0.976 0.173 [1 per cell]
S2 0.020 0.262 0.673 [1 per cell]
S3 0.321 0.262 0.172 [1 per cell]
S4 0.352 0.305 0.838 [1 per cell]
S5 0.352 0.606 0.336 [1 per cell]
S6 0.650 0.015 0.332 [1 per cell]
S7 0.653 0.604 0.837 [1 per cell]
S8 0.690 0.648 0.502 [1 per cell]
S9 0.691 0.926 0.006 [1 per cell]
O1 0.003 0.436 0.669 [1 per cell]
O2 0.004 0.817 0.168 [1 per cell]
O3 0.008 0.452 0.948 [1 per cell]
O4 0.013 0.797 0.446 [1 per cell]
O5 0.089 0.012 0.116 [1 per cell]
O6 0.094 0.161 0.617 [1 per cell]
O7 0.130 0.182 0.726 [1 per cell]
O8 0.130 0.951 0.224 [1 per cell]
O9 0.145 0.986 0.833 [1 per cell]
O10 0.148 0.418 0.452 [1 per cell]
O11 0.152 0.130 0.329 [1 per cell]
O12 0.153 0.685 0.949 [1 per cell]
O13 0.158 0.648 0.670 [1 per cell]
O14 0.163 0.441 0.169 [1 per cell]
O15 0.164 0.153 0.014 [1 per cell]
O16 0.166 0.941 0.507 [1 per cell]
O17 0.169 0.626 0.071 [1 per cell]
O18 0.178 0.625 0.339 [1 per cell]
O19 0.179 0.467 0.842 [1 per cell]
O20 0.189 0.455 0.568 [1 per cell]
O21 0.275 0.798 0.732 [1 per cell]
O22 0.288 0.183 0.226 [1 per cell]
O23 0.296 0.812 0.012 [1 per cell]
O24 0.297 0.144 0.514 [1 per cell]
O25 0.333 0.152 0.836 [1 per cell]
O26 0.341 0.161 0.118 [1 per cell]
O27 0.342 0.776 0.331 [1 per cell]
O28 0.348 0.765 0.611 [1 per cell]
O29 0.431 0.334 0.782 [1 per cell]
O30 0.435 0.498 0.281 [1 per cell]
O31 0.456 0.517 0.389 [1 per cell]
O32 0.458 0.292 0.890 [1 per cell]
O33 0.460 0.342 0.499 [1 per cell]
O34 0.464 0.471 0.004 [1 per cell]
O35 0.472 0.017 0.617 [1 per cell]
O36 0.475 0.285 0.178 [1 per cell]
O37 0.485 0.773 0.111 [1 per cell]
O38 0.492 0.775 0.836 [1 per cell]
O39 0.492 0.997 0.331 [1 per cell]
O40 0.497 0.961 0.737 [1 per cell]
O41 0.500 0.480 0.682 [1 per cell]
O42 0.503 0.812 0.230 [1 per cell]
O43 0.515 0.798 0.507 [1 per cell]
O44 0.517 0.945 0.013 [1 per cell]
O45 0.620 0.495 0.178 [1 per cell]
O46 0.625 0.118 0.388 [1 per cell]
O47 0.628 0.521 0.894 [1 per cell]
O48 0.629 0.140 0.677 [1 per cell]
O49 0.662 0.115 0.280 [1 per cell]
O50 0.668 0.489 0.497 [1 per cell]
O51 0.669 0.497 0.785 [1 per cell]
O52 0.674 0.102 0.001 [1 per cell]
O53 0.769 0.823 0.952 [1 per cell]
O54 0.773 0.668 0.448 [1 per cell]
O55 0.789 0.802 0.673 [1 per cell]
O56 0.795 0.615 0.556 [1 per cell]
O57 0.800 0.852 0.060 [1 per cell]
O58 0.804 0.661 0.167 [1 per cell]
O59 0.806 0.847 0.337 [1 per cell]
O60 0.808 0.621 0.843 [1 per cell]
O61 0.825 0.318 0.000 [1 per cell]
O62 0.826 0.125 0.499 [1 per cell]
O63 0.830 0.105 0.777 [1 per cell]
O64 0.840 0.133 0.179 [1 per cell]
O65 0.846 0.280 0.679 [1 per cell]
O66 0.847 0.337 0.275 [1 per cell]
O67 0.857 0.118 0.897 [1 per cell]
O68 0.865 0.280 0.394 [1 per cell]
O69 0.937 0.466 0.067 [1 per cell]
O70 0.953 0.855 0.565 [1 per cell]
O71 0.970 0.489 0.344 [1 per cell]
O72 0.973 0.809 0.843 [1 per cell]


# 2
The following is a DFT calculation (PBE) of a geometry-optimized Na6Zr4Ga4Si5S7O48 structure.

calculated density = 3.1 g/cm³
spin magnetization = 0.00 Bohr magnetons per cell
crystal system = triclinic
DFT total energy = -6.7907 eV/atom

a = 8.904 Å, b = 15.337 Å, c = 22.890 Å
α = 89.80°, β = 89.99°, γ = 89.86°
Space group P1 (No. 1)
Asymmetric unit:
Na1 0.000 0.000 0.000 [1 per cell]
Na2 0.000 0.326 0.339 [1 per cell]
Na3 0.009 0.327 0.829 [1 per cell]
Na4 0.017 0.003 0.506 [1 per cell]
Na5 0.026 0.678 0.173 [1 per cell]
Na6 0.145 0.493 0.753 [1 per cell]
Na7 0.364 0.993 0.255 [1 per cell]
Na8 0.499 0.177 0.678 [1 per cell]
Na9 0.501 0.504 0.000 [1 per cell]
Na10 0.501 0.834 0.333 [1 per cell]
Na11 0.512 0.499 0.505 [1 per cell]
Na12 0.513 0.828 0.837 [1 per cell]
Na13 0.521 0.172 0.169 [1 per cell]
Na14 0.643 0.663 0.428 [1 per cell]
Na15 0.643 0.999 0.756 [1 per cell]
Na16 0.874 0.163 0.920 [1 per cell]
Na17 0.879 0.498 0.258 [1 per cell]
Na18 0.993 0.672 0.671 [1 per cell]
Zr1 0.001 0.328 0.479 [1 per cell]
Zr2 0.010 0.664 0.023 [1 per cell]
Zr3 0.014 0.002 0.648 [1 per cell]
Zr4 0.496 0.497 0.145 [1 per cell]
Zr5 0.505 0.164 0.524 [1 per cell]
Zr6 0.511 0.827 0.977 [1 per cell]
Zr7 0.516 0.163 0.025 [1 per cell]
Zr8 0.519 0.497 0.654 [1 per cell]
Zr9 0.522 0.496 0.853 [1 per cell]
Zr10 0.993 0.996 0.353 [1 per cell]
Zr11 0.995 0.997 0.153 [1 per cell]
Zr12 0.997 0.662 0.527 [1 per cell]
Ga1 0.015 0.669 0.322 [1 per cell]
Ga2 0.017 0.315 0.176 [1 per cell]
Ga3 0.021 0.316 0.701 [1 per cell]
Ga4 0.025 0.322 0.991 [1 per cell]
Ga5 0.486 0.829 0.194 [1 per cell]
Ga6 0.493 0.827 0.499 [1 per cell]
Ga7 0.494 0.817 0.679 [1 per cell]
Ga8 0.516 0.495 0.355 [1 per cell]
Ga9 0.521 0.166 0.814 [1 per cell]
Ga10 0.534 0.157 0.319 [1 per cell]
Ga11 0.978 0.662 0.817 [1 per cell]
Ga12 0.990 0.001 0.853 [1 per cell]
Si1 0.150 0.843 0.256 [1 per cell]
Si2 0.151 0.193 0.589 [1 per cell]
Si3 0.217 0.831 0.586 [1 per cell]
Si4 0.292 0.329 0.086 [1 per cell]
Si5 0.362 0.693 0.090 [1 per cell]
Si6 0.364 0.345 0.756 [1 per cell]
Si7 0.645 0.686 0.586 [1 per cell]
Si8 0.654 0.021 0.914 [1 per cell]
Si9 0.698 0.996 0.251 [1 per cell]
Si10 0.717 0.660 0.919 [1 per cell]
Si11 0.798 0.162 0.419 [1 per cell]
Si12 0.817 0.497 0.751 [1 per cell]
Si13 0.858 0.143 0.756 [1 per cell]
Si14 0.861 0.522 0.412 [1 per cell]
Si15 0.867 0.186 0.085 [1 per cell]
S1 0.145 0.811 0.914 [1 per cell]
S2 0.148 0.513 0.919 [1 per cell]
S3 0.154 0.473 0.588 [1 per cell]
S4 0.156 0.151 0.255 [1 per cell]
S5 0.215 0.164 0.918 [1 per cell]
S6 0.217 0.495 0.257 [1 per cell]
S7 0.299 0.993 0.757 [1 per cell]
S8 0.302 0.664 0.417 [1 per cell]
S9 0.358 0.651 0.755 [1 per cell]
S10 0.361 0.974 0.089 [1 per cell]
S11 0.366 0.014 0.419 [1 per cell]
S12 0.369 0.310 0.414 [1 per cell]
S13 0.648 0.972 0.588 [1 per cell]
S14 0.652 0.643 0.255 [1 per cell]
S15 0.654 0.351 0.255 [1 per cell]
S16 0.660 0.310 0.921 [1 per cell]
S17 0.719 0.331 0.588 [1 per cell]
S18 0.792 0.830 0.089 [1 per cell]
S19 0.856 0.810 0.420 [1 per cell]
S20 0.860 0.850 0.754 [1 per cell]
S21 0.868 0.472 0.088 [1 per cell]
O1 0.070 0.748 0.265 [1 per cell]
O2 0.071 0.428 0.926 [1 per cell]
O3 0.076 0.095 0.593 [1 per cell]
O4 0.077 0.899 0.909 [1 per cell]
O5 0.078 0.893 0.198 [1 per cell]
O6 0.083 0.237 0.248 [1 per cell]
O7 0.083 0.771 0.969 [1 per cell]
O8 0.085 0.235 0.529 [1 per cell]
O9 0.087 0.562 0.580 [1 per cell]
O10 0.088 0.108 0.307 [1 per cell]
O11 0.090 0.437 0.642 [1 per cell]
O12 0.090 0.556 0.865 [1 per cell]
O13 0.102 0.913 0.593 [1 per cell]
O14 0.109 0.242 0.923 [1 per cell]
O15 0.116 0.419 0.252 [1 per cell]
O16 0.118 0.252 0.645 [1 per cell]
O17 0.118 0.570 0.971 [1 per cell]
O18 0.119 0.084 0.915 [1 per cell]
O19 0.119 0.754 0.863 [1 per cell]
O20 0.120 0.423 0.535 [1 per cell]
O21 0.120 0.742 0.578 [1 per cell]
O22 0.122 0.575 0.260 [1 per cell]
O23 0.126 0.910 0.311 [1 per cell]
O24 0.132 0.094 0.202 [1 per cell]
O25 0.180 0.678 0.084 [1 per cell]
O26 0.183 0.345 0.751 [1 per cell]
O27 0.193 0.658 0.762 [1 per cell]
O28 0.194 0.353 0.028 [1 per cell]
O29 0.196 0.983 0.093 [1 per cell]
O30 0.201 0.005 0.415 [1 per cell]
O31 0.202 0.319 0.147 [1 per cell]
O32 0.203 0.979 0.808 [1 per cell]
O33 0.204 0.321 0.420 [1 per cell]
O34 0.206 0.002 0.703 [1 per cell]
O35 0.209 0.678 0.364 [1 per cell]
O36 0.211 0.652 0.470 [1 per cell]
O37 0.306 0.156 0.972 [1 per cell]
O38 0.307 0.178 0.866 [1 per cell]
O39 0.310 0.820 0.921 [1 per cell]
O40 0.311 0.505 0.203 [1 per cell]
O41 0.313 0.504 0.917 [1 per cell]
O42 0.313 0.855 0.527 [1 per cell]
O43 0.314 0.818 0.645 [1 per cell]
O44 0.315 0.484 0.309 [1 per cell]
O45 0.319 0.483 0.591 [1 per cell]
O46 0.320 0.158 0.262 [1 per cell]
O47 0.333 0.839 0.251 [1 per cell]
O48 0.334 0.178 0.581 [1 per cell]
O49 0.381 0.594 0.702 [1 per cell]
O50 0.391 0.073 0.760 [1 per cell]
O51 0.391 0.412 0.811 [1 per cell]
O52 0.393 0.241 0.079 [1 per cell]
O53 0.394 0.922 0.036 [1 per cell]
O54 0.395 0.255 0.362 [1 per cell]
O55 0.396 0.070 0.470 [1 per cell]
O56 0.398 0.583 0.410 [1 per cell]
O57 0.399 0.749 0.147 [1 per cell]
O58 0.405 0.740 0.421 [1 per cell]
O59 0.405 0.917 0.750 [1 per cell]
O60 0.407 0.413 0.092 [1 per cell]
O61 0.423 0.056 0.364 [1 per cell]
O62 0.425 0.938 0.143 [1 per cell]
O63 0.426 0.608 0.807 [1 per cell]
O64 0.428 0.062 0.082 [1 per cell]
O65 0.429 0.734 0.030 [1 per cell]
O66 0.430 0.737 0.748 [1 per cell]
O67 0.431 0.271 0.468 [1 per cell]
O68 0.436 0.249 0.765 [1 per cell]
O69 0.437 0.399 0.409 [1 per cell]
O70 0.439 0.395 0.699 [1 per cell]
O71 0.439 0.595 0.095 [1 per cell]
O72 0.443 0.929 0.425 [1 per cell]
O73 0.563 0.591 0.590 [1 per cell]
O74 0.574 0.926 0.923 [1 per cell]
O75 0.579 0.060 0.582 [1 per cell]
O76 0.580 0.067 0.856 [1 per cell]
O77 0.581 0.079 0.259 [1 per cell]
O78 0.581 0.265 0.261 [1 per cell]
O79 0.585 0.602 0.309 [1 per cell]
O80 0.587 0.397 0.916 [1 per cell]
O81 0.587 0.730 0.249 [1 per cell]
O82 0.587 0.934 0.642 [1 per cell]
O83 0.588 0.728 0.523 [1 per cell]
O84 0.591 0.393 0.202 [1 per cell]
O85 0.593 0.271 0.974 [1 per cell]
O86 0.595 0.909 0.242 [1 per cell]
O87 0.606 0.576 0.917 [1 per cell]
O88 0.609 0.747 0.922 [1 per cell]
O89 0.618 0.409 0.589 [1 per cell]
O90 0.619 0.920 0.534 [1 per cell]
O91 0.620 0.252 0.581 [1 per cell]
O92 0.622 0.584 0.205 [1 per cell]
O93 0.625 0.746 0.643 [1 per cell]
O94 0.626 0.408 0.307 [1 per cell]
O95 0.630 0.084 0.971 [1 per cell]
O96 0.634 0.256 0.869 [1 per cell]
O97 0.674 0.146 0.758 [1 per cell]
O98 0.674 0.514 0.407 [1 per cell]
O99 0.684 0.173 0.082 [1 per cell]
O100 0.691 0.819 0.425 [1 per cell]
O101 0.692 0.151 0.477 [1 per cell]
O102 0.693 0.844 0.750 [1 per cell]
O103 0.696 0.181 0.362 [1 per cell]
O104 0.702 0.484 0.094 [1 per cell]
O105 0.703 0.820 0.141 [1 per cell]
O106 0.704 0.520 0.696 [1 per cell]
O107 0.704 0.842 0.034 [1 per cell]
O108 0.708 0.485 0.808 [1 per cell]
O109 0.806 0.982 0.309 [1 per cell]
O110 0.807 0.342 0.533 [1 per cell]
O111 0.808 0.018 0.196 [1 per cell]
O112 0.808 0.321 0.640 [1 per cell]
O113 0.813 0.981 0.591 [1 per cell]
O114 0.818 0.648 0.259 [1 per cell]
O115 0.820 0.345 0.251 [1 per cell]
O116 0.820 0.679 0.863 [1 per cell]
O117 0.822 0.651 0.978 [1 per cell]
O118 0.825 0.320 0.927 [1 per cell]
O119 0.828 0.673 0.582 [1 per cell]
O120 0.840 0.010 0.911 [1 per cell]
O121 0.882 0.245 0.144 [1 per cell]
O122 0.883 0.586 0.468 [1 per cell]
O123 0.883 0.755 0.368 [1 per cell]
O124 0.886 0.075 0.702 [1 per cell]
O125 0.888 0.905 0.807 [1 per cell]
O126 0.892 0.751 0.083 [1 per cell]
O127 0.894 0.420 0.036 [1 per cell]
O128 0.894 0.908 0.091 [1 per cell]
O129 0.905 0.248 0.422 [1 per cell]
O130 0.908 0.077 0.415 [1 per cell]
O131 0.920 0.413 0.741 [1 per cell]
O132 0.923 0.770 0.473 [1 per cell]
O133 0.924 0.888 0.701 [1 per cell]
O134 0.927 0.229 0.024 [1 per cell]
O135 0.928 0.239 0.751 [1 per cell]
O136 0.929 0.434 0.144 [1 per cell]
O137 0.929 0.896 0.415 [1 per cell]
O138 0.931 0.569 0.353 [1 per cell]
O139 0.931 0.582 0.759 [1 per cell]
O140 0.931 0.762 0.761 [1 per cell]
O141 0.935 0.561 0.083 [1 per cell]
O142 0.937 0.102 0.815 [1 per cell]
O143 0.939 0.428 0.420 [1 per cell]
O144 0.950 0.090 0.091 [1 per cell]


# 3
The following is a DFT calculation (PBE) of a geometry-optimized Na3Ga3Si3O16 structure.

calculated density = 2.7 g/cm³
crystal system = trigonal
DFT total energy = -6.1266 eV/atom

a = 12.9903 Å, b = 12.9903 Å, c = 15.5908 Å
α = 90.00°, β = 90.00°, γ = 120.00°
Space group R3c (No. 161, hexagonal axes)
Asymmetric unit:
Na1 0.2078 0.4203 0.0000 [18 per cell]
Ga1 0.0028 0.2451 0.6454 [18 per cell]
Si1 0.0840 0.4161 0.8134 [18 per cell]
O1 0.0000 0.0000 0.4019 [6 per cell]
O2 0.0024 0.2869 0.2481 [18 per cell]
O3 0.0077 0.2923 0.7586 [18 per cell]
O4 0.0481 0.5128 0.7764 [18 per cell]
O5 0.0562 0.1195 0.8961 [18 per cell]
O6 0.1921 0.0868 0.1418 [18 per cell]